--- P ---
Below is a relaxed structure of Li3V3P8O29, with properties calculated at the GGA+U level.

Cell: 9.7444 9.7444 14.0404 Å, 90.01 90.01 59.88°
With the nearest neighbours (Å) after each atom.
Atoms (fractional coordinates):
Li1 0.0283 0.9717 0.5000  2 O 1.99-2.07
Li2 0.3174 0.7519 0.0586  3 O 1.94-2.08
Li3 0.7510 0.8919 0.0593  3 O 1.94-2.10
Li4 0.7519 0.3174 0.5586  3 O 1.94-2.08
Li5 0.8919 0.7510 0.5593  3 O 1.94-2.10
Li6 0.9717 0.0283 0.0000  2 O 1.99-2.07
V1 0.4197 0.9852 0.7466  6 O 1.86-1.91
V2 0.4218 0.5493 0.2533  6 O 1.83-1.98
V3 0.5493 0.4218 0.7533  6 O 1.83-1.98
V4 0.5492 0.9890 0.2553  6 O 1.83-1.95
V5 0.9852 0.4197 0.2466  6 O 1.86-1.91
V6 0.9890 0.5492 0.7553  6 O 1.83-1.95
P1 0.0708 0.2117 0.6585  4 O 1.49-1.61
P2 0.0722 0.6777 0.1595  4 O 1.49-1.62
P3 0.2085 0.6784 0.6579  4 O 1.48-1.63
P4 0.2117 0.0708 0.1585  4 O 1.49-1.61
P5 0.2938 0.9018 0.3448  4 O 1.47-1.61
P6 0.2979 0.7634 0.8425  4 O 1.49-1.60
P7 0.3158 0.3216 0.3707  4 O 1.48-1.60
P8 0.3216 0.3158 0.8707  4 O 1.48-1.60
P9 0.6512 0.6563 0.1298  4 O 1.49-1.58
P10 0.6563 0.6512 0.6298  4 O 1.49-1.58
P11 0.6777 0.0722 0.6595  4 O 1.49-1.62
P12 0.6784 0.2085 0.1579  4 O 1.48-1.63
P13 0.7582 0.9008 0.8439  4 O 1.49-1.60
P14 0.7634 0.2979 0.3425  4 O 1.49-1.60
P15 0.9008 0.7582 0.3439  4 O 1.49-1.60
P16 0.9018 0.2938 0.8448  4 O 1.47-1.61
O1 0.0695 0.6421 0.6635  1 P 1.56
O2 0.0706 0.3694 0.6731  1 P 1.55
O3 0.0729 0.2446 0.1638  1 P 1.55
O4 0.0733 0.5191 0.1720  1 P 1.55
O5 0.1703 0.3231 0.3236  1 P 1.56
O6 0.1728 0.4657 0.8247  1 P 1.59
O7 0.1859 0.7796 0.7549  2 P 1.60-1.63
O8 0.1881 0.9894 0.2524  2 P 1.61
O9 0.1950 0.7735 0.5728  1 P 1.48
O10 0.2032 0.9788 0.4318  1 P 1.47
O11 0.2042 0.9823 0.0739  1 P 1.49
O12 0.2226 0.7648 0.9349  1 P 1.49
O13 0.2446 0.0729 0.6639  1 P 1.55
O14 0.2454 0.6457 0.1602  1 P 1.56
O15 0.3199 0.3232 0.4758  1 P 1.48
O16 0.3214 0.4677 0.3236  1 P 1.60
O17 0.3231 0.1703 0.8236  1 P 1.56
O18 0.3232 0.3199 0.9758  1 P 1.48
O19 0.3290 0.9033 0.8316  1 P 1.55
O20 0.3325 0.7269 0.3317  1 P 1.56
O21 0.3683 0.5210 0.6735  1 P 1.56
O22 0.3694 0.0706 0.1731  1 P 1.55
O23 0.4530 0.9019 0.3300  1 P 1.57
O24 0.4587 0.6057 0.8256  1 P 1.57
O25 0.4657 0.1728 0.3247  1 P 1.59
O26 0.4677 0.3214 0.8236  1 P 1.60
O27 0.4998 0.6575 0.1699  1 P 1.57
O28 0.5077 0.7996 0.6756  1 P 1.58
O29 0.5191 0.0733 0.6720  1 P 1.55
O30 0.5210 0.3683 0.1735  1 P 1.56
O31 0.6033 0.8980 0.8263  1 P 1.54
O32 0.6057 0.4587 0.3256  1 P 1.57
O33 0.6421 0.0695 0.1635  1 P 1.56
O34 0.6457 0.2454 0.6602  1 P 1.56
O35 0.6526 0.6604 0.0240  1 P 1.49
O36 0.6551 0.8038 0.1734  1 P 1.58
O37 0.6575 0.4998 0.6699  1 P 1.57
O38 0.6604 0.6526 0.5240  1 P 1.49
O39 0.7269 0.3325 0.8317  1 P 1.56
O40 0.7285 0.9007 0.3321  1 P 1.56
O41 0.7648 0.2226 0.4349  1 P 1.49
O42 0.7663 0.9722 0.9359  1 P 1.49
O43 0.7735 0.1950 0.0728  1 P 1.48
O44 0.7766 0.9788 0.5768  1 P 1.49
O45 0.7770 0.9971 0.7570  2 P 1.60-1.62
O46 0.7796 0.1859 0.2549  2 P 1.60-1.63
O47 0.7996 0.5077 0.1756  1 P 1.58
O48 0.8038 0.6551 0.6734  1 P 1.58
O49 0.8980 0.6033 0.3263  1 P 1.54
O50 0.9007 0.7285 0.8321  1 P 1.56
O51 0.9019 0.4530 0.8300  1 P 1.57
O52 0.9033 0.3290 0.3316  1 P 1.55
O53 0.9722 0.7663 0.4359  1 P 1.49
O54 0.9788 0.2032 0.9318  1 P 1.47
O55 0.9788 0.7766 0.0768  1 P 1.49
O56 0.9823 0.2042 0.5739  1 P 1.49
O57 0.9894 0.1881 0.7524  2 P 1.61
O58 0.9971 0.7770 0.2570  2 P 1.60-1.62

--- Q ---
Below is a relaxed structure of Li3V3P8O29, with properties calculated at the GGA+U level.

Cell: 9.7564 9.7713 14.2317 Å, 89.68 89.98 60.14°
With the nearest neighbours (Å) after each atom.
Atoms (fractional coordinates):
Li1 0.0000 0.0000 0.0000  2 O 1.87-1.89
Li2 0.0115 0.4498 0.5030  3 O 1.92-2.12
Li3 0.1375 0.4701 0.0017  2 O 1.85-1.88
Li4 0.5766 0.4444 0.5498  1 O 1.88
Li5 0.6068 0.8613 0.9997  3 O 1.87-2.09
Li6 0.8942 0.8284 0.4503  2 O 1.93-2.06
V1 0.3422 0.7817 0.6907  6 O 1.86-2.03
V2 0.3538 0.3403 0.1974  6 O 1.86-2.00
V3 0.4767 0.7770 0.1995  6 O 1.85-2.02
V4 0.4834 0.2028 0.6935  6 O 1.85-2.05
V5 0.9134 0.2123 0.1969  6 O 1.85-2.00
V6 0.9152 0.3466 0.6976  6 O 1.83-2.04
P1 0.0010 0.0064 0.7843  4 O 1.48-1.59
P2 0.0028 0.4621 0.2866  4 O 1.48-1.60
P3 0.1358 0.8597 0.2878  4 O 1.47-1.61
P4 0.1485 0.4604 0.7870  4 O 1.48-1.60
P5 0.2249 0.5546 0.6046  4 O 1.49-1.63
P6 0.2293 0.6910 0.1038  4 O 1.48-1.62
P7 0.2449 0.1148 0.5730  4 O 1.48-1.58
P8 0.2474 0.1108 0.0763  4 O 1.49-1.58
P9 0.5771 0.4449 0.8111  4 O 1.48-1.61
P10 0.5826 0.4429 0.3131  4 O 1.49-1.57
P11 0.6002 0.8589 0.7845  4 O 1.48-1.60
P12 0.6090 0.9995 0.2872  4 O 1.47-1.61
P13 0.6861 0.0919 0.1028  4 O 1.48-1.62
P14 0.6940 0.6894 0.6015  4 O 1.48-1.63
P15 0.8257 0.0888 0.6031  4 O 1.47-1.63
P16 0.8257 0.5506 0.1060  4 O 1.48-1.63
O1 0.0016 0.0342 0.2725  1 P 1.56
O2 0.0024 0.4356 0.7741  1 P 1.57
O3 0.0062 0.3024 0.2686  1 P 1.57
O4 0.0111 0.1578 0.7611  1 P 1.57
O5 0.0951 0.2643 0.6141  1 P 1.58
O6 0.0956 0.1133 0.1172  1 P 1.58
O7 0.1189 0.7876 0.3749  1 P 1.47
O8 0.1200 0.5646 0.5261  1 P 1.49
O9 0.1228 0.7709 0.1961  2 P 1.61-1.62
O10 0.1316 0.5773 0.7031  2 P 1.60-1.63
O11 0.1466 0.7835 0.0188  1 P 1.48
O12 0.1539 0.5260 0.8792  1 P 1.48
O13 0.1705 0.8626 0.7732  1 P 1.56
O14 0.1731 0.4326 0.2719  1 P 1.55
O15 0.2444 0.1216 0.4690  1 P 1.48
O16 0.2471 0.1125 0.9718  1 P 1.49
O17 0.2488 0.9643 0.6166  1 P 1.58
O18 0.2518 0.2577 0.1192  1 P 1.58
O19 0.2573 0.5197 0.1052  1 P 1.56
O20 0.2588 0.6949 0.6061  1 P 1.56
O21 0.2964 0.8595 0.2736  1 P 1.58
O22 0.2972 0.3012 0.7637  1 P 1.55
O23 0.3889 0.4021 0.6112  1 P 1.55
O24 0.3894 0.6847 0.1238  1 P 1.56
O25 0.3917 0.1160 0.6192  1 P 1.58
O26 0.3943 0.9599 0.1193  1 P 1.58
O27 0.4330 0.4452 0.2700  1 P 1.57
O28 0.4372 0.5957 0.7634  1 P 1.58
O29 0.4398 0.8694 0.7604  1 P 1.55
O30 0.4500 0.1599 0.2724  1 P 1.58
O31 0.5333 0.2528 0.1224  1 P 1.56
O32 0.5392 0.6803 0.6100  1 P 1.56
O33 0.5678 0.8658 0.2736  1 P 1.56
O34 0.5717 0.3017 0.7657  1 P 1.57
O35 0.5753 0.0291 0.7735  1 P 1.56
O36 0.5809 0.4459 0.9148  1 P 1.48
O37 0.5837 0.4423 0.4175  1 P 1.49
O38 0.5841 0.5910 0.2705  1 P 1.57
O39 0.6501 0.1263 0.6102  1 P 1.57
O40 0.6558 0.6945 0.1059  1 P 1.55
O41 0.6648 0.7857 0.8770  1 P 1.48
O42 0.6751 0.0101 0.0183  1 P 1.48
O43 0.6983 0.9846 0.3736  1 P 1.47
O44 0.7117 0.9857 0.1956  2 P 1.61-1.62
O45 0.7153 0.7610 0.7001  2 P 1.60-1.63
O46 0.7155 0.7712 0.5201  1 P 1.48
O47 0.7298 0.2941 0.2704  1 P 1.57
O48 0.7317 0.4359 0.7648  1 P 1.61
O49 0.8179 0.2511 0.6118  1 P 1.56
O50 0.8193 0.3963 0.1236  1 P 1.56
O51 0.8302 0.1187 0.1041  1 P 1.55
O52 0.8337 0.5126 0.6058  1 P 1.58
O53 0.9020 0.5761 0.2019  2 P 1.60-1.63
O54 0.9029 0.9904 0.6997  2 P 1.59-1.63
O55 0.9071 0.9896 0.5212  1 P 1.47
O56 0.9222 0.5414 0.0235  1 P 1.48
O57 0.9269 0.0175 0.8766  1 P 1.48
O58 0.9353 0.5319 0.3790  1 P 1.48

Stability summary - winner: P; margin: 0.5 kJ/mol of atoms.

--- P ---
Below is a relaxed structure of CaMo2O4, with properties calculated at the GGA+U level.

Cell: 6.5747 6.5747 16.1502 Å, 90.00 90.00 120.00°
With the nearest neighbours (Å) after each atom.
Atoms (fractional coordinates):
Ca1 0.0000 0.0000 0.0000  4 O 2.24-2.36
Ca2 0.0000 0.0000 0.2417  4 O 2.21-2.32
Ca3 0.0000 0.0000 0.6190  6 O 2.31-2.39
Ca4 0.3333 0.6667 0.5738  4 O 2.21-2.35
Ca5 0.6667 0.3333 0.2827  6 O 2.32-2.39
Ca6 0.6667 0.3333 0.9122  4 O 2.23-2.26
Mo1 0.0001 0.5001 0.1195  6 O 2.15-2.23
Mo2 0.1697 0.3393 0.7885  6 O 2.15-2.25
Mo3 0.1697 0.8303 0.7885  6 O 2.15-2.25
Mo4 0.3304 0.1652 0.4544  6 O 2.14-2.24
Mo5 0.3333 0.6667 0.3389  3 O 2.07
Mo6 0.3333 0.6667 0.9544  6 O 2.14-2.24
Mo7 0.4999 0.9999 0.1195  6 O 2.15-2.23
Mo8 0.4999 0.5001 0.1195  6 O 2.15-2.23
Mo9 0.6607 0.8303 0.7885  6 O 2.15-2.25
Mo10 0.6667 0.3333 0.6724  3 O 2.06
Mo11 0.8348 0.1652 0.4544  6 O 2.14-2.24
Mo12 0.8348 0.6696 0.4544  6 O 2.14-2.24
O1 0.0000 0.0000 0.3854  3 Mo 2.19, 1 Ca 2.32
O2 0.0000 0.0000 0.8541  3 Mo 2.20, 1 Ca 2.36
O3 0.0377 0.5188 0.8630  3 Mo 2.15-2.24, 1 Ca 2.26
O4 0.1522 0.3044 0.5248  2 Mo 2.14, 2 Ca 2.21-2.31
O5 0.1522 0.8478 0.5248  2 Mo 2.14, 2 Ca 2.21-2.31
O6 0.1884 0.3768 0.0389  3 Mo 2.14-2.21, 1 Ca 2.24
O7 0.1884 0.8116 0.0389  3 Mo 2.14-2.21, 1 Ca 2.24
O8 0.3241 0.1620 0.7127  3 Mo 2.06-2.25
O9 0.3333 0.6667 0.1915  4 Mo 2.23-2.38
O10 0.3333 0.6667 0.7191  3 Mo 2.17, 1 Ca 2.35
O11 0.3581 0.1791 0.1891  2 Mo 2.15, 2 Ca 2.21-2.32
O12 0.4812 0.5188 0.8630  3 Mo 2.15-2.24, 1 Ca 2.26
O13 0.4812 0.9623 0.8630  3 Mo 2.15-2.24, 1 Ca 2.26
O14 0.5064 0.0128 0.3778  3 Mo 2.07-2.24
O15 0.5064 0.4936 0.3778  3 Mo 2.07-2.24
O16 0.6232 0.8116 0.0389  3 Mo 2.14-2.21, 1 Ca 2.24
O17 0.6667 0.3333 0.0500  3 Mo 2.21, 1 Ca 2.23
O18 0.6667 0.3333 0.5245  4 Mo 2.22-2.39
O19 0.6956 0.8478 0.5248  2 Mo 2.14, 2 Ca 2.21-2.31
O20 0.8209 0.1791 0.1891  2 Mo 2.15, 2 Ca 2.21-2.32
O21 0.8209 0.6419 0.1891  2 Mo 2.15, 2 Ca 2.21-2.32
O22 0.8380 0.1620 0.7127  3 Mo 2.06-2.25
O23 0.8380 0.6759 0.7127  3 Mo 2.06-2.25
O24 0.9872 0.4936 0.3778  3 Mo 2.07-2.24

--- Q ---
Below is a relaxed structure of CaMo2O4, with properties calculated at the GGA+U level.

Cell: 6.4660 11.2357 5.6052 Å, 90.00 90.00 90.00°
With the nearest neighbours (Å) after each atom.
Atoms (fractional coordinates):
Ca1 0.2500 0.2500 0.0325  6 O 2.37-2.51
Ca2 0.2500 0.7500 0.3511  6 O 2.32-2.55
Ca3 0.7500 0.2500 0.6489  6 O 2.32-2.55
Ca4 0.7500 0.7500 0.9675  6 O 2.37-2.51
Mo1 0.0000 0.0000 0.5000  6 O 2.15-2.23
Mo2 0.0000 0.5000 0.5000  6 O 2.15-2.23
Mo3 0.2500 0.5148 0.9887  6 O 2.15-2.24
Mo4 0.2500 0.9852 0.9887  6 O 2.15-2.24
Mo5 0.5000 0.0000 0.5000  6 O 2.15-2.23
Mo6 0.5000 0.5000 0.5000  6 O 2.15-2.23
Mo7 0.7500 0.0148 0.0113  6 O 2.15-2.24
Mo8 0.7500 0.4852 0.0113  6 O 2.15-2.24
O1 0.0065 0.1056 0.8362  3 Mo 2.18-2.24
O2 0.0065 0.3944 0.8362  3 Mo 2.18-2.24
O3 0.2500 0.0904 0.3087  3 Mo 2.15-2.19, 1 Ca 2.37
O4 0.2500 0.4096 0.3087  3 Mo 2.15-2.19, 1 Ca 2.37
O5 0.2500 0.6040 0.6450  3 Mo 2.15-2.17, 1 Ca 2.32
O6 0.2500 0.8960 0.6450  3 Mo 2.15-2.17, 1 Ca 2.32
O7 0.4935 0.1056 0.8362  3 Mo 2.18-2.24
O8 0.4935 0.3944 0.8362  3 Mo 2.18-2.24
O9 0.5065 0.6056 0.1638  3 Mo 2.18-2.24
O10 0.5065 0.8944 0.1638  3 Mo 2.18-2.24
O11 0.7500 0.1040 0.3550  3 Mo 2.15-2.17, 1 Ca 2.32
O12 0.7500 0.3960 0.3550  3 Mo 2.15-2.17, 1 Ca 2.32
O13 0.7500 0.5904 0.6913  3 Mo 2.15-2.19, 1 Ca 2.37
O14 0.7500 0.9096 0.6913  3 Mo 2.15-2.19, 1 Ca 2.37
O15 0.9935 0.6056 0.1638  3 Mo 2.18-2.24
O16 0.9935 0.8944 0.1638  3 Mo 2.18-2.24

Stability summary - winner: Q; margin: 5.6 kJ/mol of atoms.